Here is a geometry-optimized Na4CaSi3Ge3S3O24 structure from the Materials Project. Energies are from PBE-GGA.

Cell lengths 8.8424, 8.8273, 22.3527 Å; angles 88.74, 92.05, 119.55 degrees
Closest atoms and distances in Å follow each position.
Atoms (fractional coordinates):
1 S 0.0432 0.6520 0.4203  4 O 1.46-1.51
2 Ge 0.3691 0.6919 0.3129  4 O 1.80-1.88
3 O 0.1707 0.7119 0.7524  1 S 1.51
4 Ca 0.0072 0.0110 0.3593  6 O 2.16-2.30
5 O 0.0207 0.8050 0.4204  1 S 1.46
6 O 0.1487 0.9532 0.1881  1 Si 1.70, 1 Ge 1.82
7 O 0.6190 0.0644 0.1455  1 Si 1.59
8 Na 0.3832 0.0110 0.7576  5 O 2.34-2.50
9 O 0.3136 0.4806 0.4795  1 Si 1.63, 1 Ge 1.73
10 Na 0.3527 0.6645 0.6690  6 O 2.46-2.68
11 O 0.3727 0.5141 0.3585  1 Si 1.69, 1 Ge 1.87
12 O 0.3657 0.8689 0.8543  1 Si 1.66
13 O 0.2213 0.0530 0.3049  1 Si 1.62
14 O 0.5106 0.8128 0.7623  1 Si 1.66
15 O 0.8098 0.7734 0.3145  1 Si 1.59
16 O 0.8499 0.5421 0.0286  1 S 1.48
17 O 0.1502 0.6736 0.4767  1 S 1.51
18 O 0.7825 0.9489 0.6938  1 Si 1.69, 1 Ge 1.77
19 Na 0.7103 0.6794 0.4095  4 O 2.27-2.41
20 Ca 0.6598 0.3285 0.6839  6 O 2.19-2.32
21 S 0.0101 0.2998 0.2475  4 O 1.46-1.50
22 Na 0.0052 0.0070 0.9999  6 O 2.37-2.61
23 O 0.2902 0.4858 0.7607  1 Si 1.65
24 O 0.0260 0.1940 0.9136  1 Si 1.66, 1 Ge 1.80
25 O 0.8584 0.5466 0.7447  1 S 1.47
26 O 0.1746 0.4717 0.2537  1 S 1.50
27 O 0.8277 0.8217 0.5847  1 S 1.50
28 O 0.9126 0.5490 0.1378  1 S 1.47
29 Na 0.6509 0.3201 0.3295  4 O 2.44-2.65
30 O 0.1451 0.9668 0.9078  1 Si 1.67, 1 Ge 1.81
31 S 0.9714 0.6344 0.0795  4 O 1.47-1.52
32 Na 0.9916 0.3619 0.7560  4 O 2.31-2.54
33 O 0.5039 0.6621 0.5764  1 S 1.54
34 O 0.5293 0.3910 0.4253  1 Si 1.70, 1 Ge 1.81
35 Si 0.0520 0.3930 0.9170  4 O 1.60-1.68
36 O 0.5093 0.6959 0.2540  1 Si 1.69, 1 Ge 1.83
37 Ge 0.3310 0.6743 0.0139  3 O 1.79-1.80
38 O 0.4594 0.0851 0.6362  1 S 1.47
39 O 0.2001 0.1649 0.8103  1 Si 1.63, 1 Ge 1.77
40 Ge 0.3446 0.6673 0.8192  5 O 1.88-1.95
41 O 0.8671 0.4908 0.4251  1 S 1.51
42 O 0.6373 0.5009 0.9255  1 S 1.48
43 Na 0.0086 0.0220 0.4983  4 O 2.28-2.45
44 Ge 0.0296 0.0463 0.8600  4 O 1.77-1.81
45 O 0.7058 0.1599 0.0275  1 Si 1.69, 1 Ge 1.75
46 Si 0.6631 0.0133 0.0835  4 O 1.59-1.69
47 S 0.6247 0.6622 0.9194  4 O 1.47-1.54
48 O 0.6439 0.5411 0.6344  1 S 1.46
49 O 0.7962 0.8174 0.9129  1 S 1.47
50 Si 0.2890 0.2989 0.7548  4 O 1.59-1.71
51 O 0.8624 0.3333 0.2390  1 S 1.48
52 S 0.3568 0.0198 0.5799  4 O 1.47-1.52
53 O 0.5050 0.8839 0.3564  1 Si 1.66, 1 Ge 1.80
54 Ge 0.6736 0.2907 0.9740  3 O 1.75-1.82
55 O 0.9064 0.3637 0.6378  1 S 1.47
56 O 0.4581 0.3123 0.0294  1 S 1.50
57 Si 0.7098 0.9819 0.7585  4 O 1.62-1.69
58 Si 0.7027 0.7003 0.2531  4 O 1.59-1.69
59 O 0.9881 0.8136 0.0815  1 S 1.52
60 O 0.4838 0.1450 0.2435  1 Si 1.62
61 S 0.0066 0.7242 0.7517  4 O 1.45-1.56
62 O 0.2807 0.7967 0.2583  1 Si 1.69, 1 Ge 1.88
63 O 0.5125 0.6279 0.8616  1 S 1.54
64 Na 0.6424 0.0047 0.2431  3 O 2.26-2.39
65 O 0.8521 0.0099 0.0887  1 Si 1.69, 1 Ge 1.83
66 O 0.1203 0.6309 0.3659  1 S 1.47
67 O 0.4480 0.3668 0.1376  1 S 1.48
68 Si 0.2845 0.9888 0.2484  4 O 1.62-1.70
69 O 0.2978 0.8334 0.9728  1 Si 1.61
70 O 0.5001 0.1516 0.9220  1 Si 1.69, 1 Ge 1.81
71 O 0.4477 0.1407 0.5280  1 S 1.52
72 Ge 0.6424 0.3116 0.4742  2 O 1.77-1.81
73 Na 0.6567 0.3342 0.8347  5 O 2.40-2.59
74 O 0.8566 0.3130 0.5287  1 S 1.49
75 S 0.9739 0.3393 0.5816  4 O 1.47-1.53
76 O 0.6982 0.1590 0.7531  1 Si 1.62
77 O 0.3370 0.8405 0.5723  1 S 1.52
78 O 0.0342 0.8357 0.6940  1 S 1.56
79 O 0.3420 0.4957 0.0694  1 S 1.51
80 O 0.8525 0.3688 0.9230  1 Si 1.68, 1 Ge 1.82
81 O 0.8471 0.0130 0.8137  1 Si 1.63, 1 Ge 1.79
82 Na 0.3715 0.3548 0.2510  4 O 2.33-2.61
83 Si 0.3250 0.9510 0.9140  4 O 1.61-1.69
84 Ge 0.9719 0.9663 0.1484  3 O 1.79-1.83
85 O 0.6313 0.1535 0.4245  1 Si 1.66, 1 Ge 1.77
86 O 0.7904 0.8336 0.1942  1 Si 1.68, 1 Ge 1.79
87 O 0.6889 0.5618 0.5261  1 S 1.49
88 O 0.6735 0.5079 0.2437  1 Si 1.60
89 O 0.5398 0.6933 0.9698  1 S 1.48
90 Si 0.6160 0.9588 0.4206  4 O 1.59-1.66
91 S 0.6685 0.6447 0.5800  4 O 1.46-1.54
92 O 0.5114 0.8400 0.4775  1 Si 1.63, 1 Ge 1.73
93 O 0.4937 0.8228 0.0662  1 Si 1.65, 1 Ge 1.80
94 O 0.9880 0.1734 0.5858  1 S 1.53
95 O 0.9722 0.1955 0.3022  1 S 1.46
96 Ge 0.3420 0.6674 0.5138  3 O 1.73-1.88
97 Si 0.3354 0.3888 0.4202  4 O 1.57-1.70
98 Na 0.9836 0.6335 0.2508  3 O 2.29-2.40
99 O 0.9852 0.8036 0.8043  1 S 1.45
100 O 0.1837 0.1960 0.4247  1 Si 1.57
101 S 0.3594 0.3346 0.0782  4 O 1.48-1.51
102 O 0.1846 0.0072 0.5832  1 S 1.48
103 O 0.0366 0.2148 0.1947  1 S 1.50
104 O 0.4727 0.3084 0.7496  1 Si 1.59
105 O 0.1487 0.6529 0.0726  1 S 1.51
106 Ca 0.6582 0.3209 0.1708  6 O 2.19-2.30
107 O 0.1355 0.5057 0.8548  1 Si 1.66
108 O 0.1861 0.1753 0.0809  1 S 1.49
109 Ge 0.9832 0.0141 0.6597  3 O 1.77-1.97
110 O 0.1774 0.4825 0.9744  1 Si 1.60, 1 Ge 1.79
111 O 0.1541 0.2100 0.6936  1 Si 1.71, 1 Ge 1.80
112 O 0.7983 0.9649 0.4244  1 Si 1.59
113 O 0.1510 0.4968 0.5752  1 S 1.51
114 Na 0.3467 0.6806 0.1593  6 O 2.46-2.73

## Properties
Space group   P1, No. 1
ΔE_f   -2293 meV per atom

Here is a geometry-optimized Na6Ca2Si5Ge6S7O48 structure from the Materials Project. Energies are from PBE-GGA.

Cell lengths 17.3361, 8.8819, 22.4305 Å; angles 89.17, 90.97, 120.87 degrees
Closest atoms and distances in Å follow each position.
Atoms (fractional coordinates):
1 O 0.4963 0.7975 0.0721  1 S 1.46
2 Si 0.6695 0.9671 0.9154  4 O 1.63-1.67
3 O 0.3154 0.1315 0.4155  1 Si 1.65, 1 Ge 1.78
4 O 0.9375 0.4689 0.1327  1 Si 1.58
5 Ge 0.4957 0.9918 0.3548  4 O 1.74-1.93
6 O 0.4561 0.1305 0.5860  1 Si 1.68, 1 Ge 1.78
7 Ca 0.8390 0.3334 0.6898  4 O 2.11-2.35
8 O 0.4176 0.5225 0.0252  1 S 1.53
9 S 0.0121 0.3614 0.9102  4 O 1.45-1.52
10 O 0.5193 0.8223 0.8077  1 S 1.50
11 O 0.0222 0.2010 0.3062  1 S 1.47
12 O 0.4229 0.4950 0.4080  1 S 1.47
13 O 0.2601 0.1684 0.9208  1 S 1.55
14 O 0.0557 0.4157 0.9681  1 S 1.45
15 O 0.4573 0.5389 0.1329  1 S 1.47
16 O 0.7337 0.1386 0.2591  1 Si 1.57
17 S 0.3240 0.6269 0.5816  4 O 1.45-1.57
18 S 0.9916 0.3443 0.5807  4 O 1.46-1.51
19 Ge 0.4845 0.0114 0.6369  4 O 1.77-1.97
20 S 0.5137 0.7181 0.7541  4 O 1.44-1.53
21 O 0.0984 0.4875 0.2574  1 S 1.56
22 O 0.8917 0.9574 0.8082  1 S 1.49
23 S 0.5103 0.3011 0.2596  4 O 1.45-1.53
24 O 0.9105 0.5171 0.0173  1 Si 1.72, 1 Ge 1.76
25 O 0.3506 0.1527 0.7553  1 Si 1.57
26 O 0.7468 0.6379 0.8536  1 Si 1.63, 1 Ge 1.76
27 O 0.9341 0.3081 0.2578  1 S 1.45
28 O 0.8169 0.5187 0.6446  1 Si 1.57
29 O 0.3459 0.5560 0.2564  1 S 1.46
30 O 0.7531 0.1060 0.6383  1 Si 1.59
31 S 0.3484 0.7227 0.2521  4 O 1.46-1.54
32 Na 0.9898 0.9766 0.0016  5 O 2.43-2.65
33 O 0.2578 0.6355 0.8618  1 S 1.54
34 Ge 0.5028 0.0251 0.1591  3 O 1.74-1.88
35 O 0.8496 0.5452 0.2552  1 Si 1.57
36 Ca 0.8290 0.3327 0.1944  5 O 2.15-2.39
37 O 0.0684 0.4891 0.8611  1 S 1.52
38 Ca 0.3375 0.3413 0.1899  5 O 2.11-2.34
39 S 0.1717 0.9891 0.9169  4 O 1.45-1.55
40 O 0.3652 0.1587 0.0242  1 Si 1.70, 1 Ge 1.77
41 O 0.5934 0.2165 0.7001  1 S 1.48
42 O 0.7561 0.8110 0.7511  1 S 1.52
43 O 0.9622 0.3687 0.6383  1 S 1.46
44 Ge 0.5094 0.9939 0.8489  4 O 1.73-1.90
45 O 0.8157 0.4958 0.9175  1 Si 1.64, 1 Ge 1.79
46 O 0.2698 0.8259 0.4717  1 Si 1.63, 1 Ge 1.80
47 O 0.3047 0.5346 0.6383  1 S 1.45
48 O 0.5745 0.4663 0.5723  1 Si 1.60
49 O 0.9131 0.0322 0.0850  1 S 1.52
50 O 0.4188 0.9950 0.8161  1 Si 1.64, 1 Ge 1.73
51 Ge 0.1551 0.6372 0.3245  4 O 1.80-1.91
52 O 0.0544 0.6026 0.3590  1 Si 1.65, 1 Ge 1.80
53 O 0.5139 0.2135 0.9126  1 S 1.47
54 O 0.4944 0.8112 0.4036  1 S 1.52
55 Si 0.9703 0.6127 0.0815  4 O 1.58-1.72
56 Ge 0.1731 0.6419 0.8036  3 O 1.77-1.97
57 O 0.5870 0.0579 0.5955  1 Si 1.75, 1 Ge 1.87
58 Si 0.6851 0.0534 0.5835  4 O 1.59-1.75
59 O 0.2313 0.1292 0.2541  1 S 1.47
60 O 0.7431 0.3950 0.1292  1 S 1.45
61 O 0.9173 0.4789 0.4307  1 Si 1.66, 1 Ge 1.80
62 O 0.2553 0.4042 0.1376  1 Si 1.59
63 O 0.7379 0.2070 0.5263  1 Si 1.75, 1 Ge 1.82
64 Si 0.3625 0.9887 0.7557  4 O 1.57-1.69
65 O 0.5820 0.9776 0.1881  1 Si 1.71, 1 Ge 1.74
66 O 0.2419 0.8464 0.3526  1 Si 1.63, 1 Ge 1.80
67 Ge 0.6726 0.6879 0.0079  5 O 1.79-2.00
68 O 0.9023 0.8583 0.1952  1 Si 1.68, 1 Ge 1.76
69 O 0.7625 0.6900 0.5788  1 Si 1.60
70 Si 0.6338 0.9840 0.2546  4 O 1.57-1.71
71 Ge 0.0148 0.0060 0.6464  2 O 1.72-1.74
72 O 0.6444 0.8347 0.9722  1 Si 1.63, 1 Ge 1.79
73 O 0.1274 0.4632 0.7534  1 Si 1.68, 1 Ge 1.77
74 O 0.4381 0.4058 0.6332  1 Si 1.58
75 Ge 0.3210 0.2775 0.4712  3 O 1.74-1.78
76 O 0.6717 0.4717 0.3638  1 S 1.46
77 O 0.5604 0.4973 0.8609  1 S 1.51
78 S 0.3221 0.6562 0.9133  4 O 1.45-1.54
79 O 0.6905 0.8835 0.8572  1 Si 1.65, 1 Ge 1.82
80 Na 0.1605 0.6598 0.1620  6 O 2.46-2.73
81 Si 0.4691 0.3312 0.5810  4 O 1.58-1.71
82 S 0.5216 0.3864 0.9162  4 O 1.47-1.51
83 S 0.0148 0.2975 0.2546  4 O 1.45-1.56
84 S 0.1854 0.0204 0.5803  4 O 1.44-1.53
85 O 0.3958 0.8188 0.1944  1 S 1.54
86 O 0.6010 0.2001 0.8114  1 S 1.52
87 O 0.8396 0.1315 0.7604  1 S 1.46
88 O 0.0824 0.5049 0.5715  1 S 1.50
89 O 0.7598 0.7202 0.2579  1 Si 1.69, 1 Ge 1.77
90 O 0.0951 0.0104 0.5869  1 S 1.53
91 Ge 0.3274 0.2942 0.9929  4 O 1.77-1.97
92 O 0.0942 0.0212 0.9099  1 S 1.51
93 Si 0.8109 0.6747 0.9122  4 O 1.63-1.66
94 O 0.4124 0.9818 0.4054  1 Si 1.66, 1 Ge 1.82
95 Na 0.8265 0.9836 0.5867  2 O 2.26-2.38
96 O 0.5836 0.0012 0.9068  1 Si 1.67, 1 Ge 1.79
97 S 0.8215 0.9826 0.4121  4 O 1.45-1.55
98 O 0.2897 0.6832 0.9698  1 S 1.47
99 O 0.5877 0.1723 0.4081  1 S 1.52
100 Na 0.6765 0.6837 0.1671  4 O 2.41-2.68
101 O 0.3275 0.4981 0.9142  1 S 1.45
102 O 0.7691 0.7119 0.9709  1 Si 1.63, 1 Ge 1.79
103 O 0.2285 0.2655 0.0287  1 Si 1.73, 1 Ge 1.80
104 O 0.5959 0.1867 0.0880  1 S 1.49
105 O 0.2641 0.8401 0.0768  1 Si 1.60
106 O 0.2573 0.3477 0.4293  1 Si 1.66, 1 Ge 1.77
107 Na 0.4893 0.0058 0.4974  5 O 2.39-2.65
108 Ge 0.6765 0.7030 0.3066  3 O 1.77-1.88
109 Ca 0.6670 0.6684 0.5078  6 O 2.22-2.29
110 O 0.2395 0.1005 0.6327  1 S 1.44
111 O 0.5755 0.9953 0.3082  1 Si 1.62, 1 Ge 1.74
112 O 0.7556 0.8699 0.3620  1 S 1.55
113 S 0.6427 0.3074 0.7553  4 O 1.46-1.52
114 O 0.0915 0.9723 0.1974  1 S 1.51
115 O 0.1392 0.8078 0.2546  1 S 1.48
116 Si 0.0176 0.6535 0.4181  4 O 1.63-1.66
117 O 0.8917 0.9773 0.6977  1 S 1.48
118 O 0.1018 0.7366 0.7625  1 S 1.51
119 O 0.1922 0.4971 0.3585  1 Si 1.63, 1 Ge 1.82
120 Na 0.3227 0.3226 0.3346  5 O 2.31-2.57
121 O 0.3961 0.8293 0.3053  1 S 1.48
122 Na 0.6640 0.6621 0.6562  3 O 2.38-2.57
123 Si 0.1685 0.3679 0.4166  4 O 1.63-1.66
124 S 0.1402 0.9750 0.2544  4 O 1.47-1.51
125 Na 0.0072 0.9930 0.4968  6 O 2.43-2.68
126 O 0.5813 0.4733 0.9696  1 S 1.51
127 O 0.2184 0.1254 0.5233  1 S 1.51
128 Si 0.3429 0.0377 0.0876  4 O 1.58-1.71
129 Ge 0.8357 0.3840 0.4892  3 O 1.77-1.82
130 Ge 0.6723 0.6900 0.8178  3 O 1.76-1.89
131 O 0.9141 0.0159 0.4039  1 S 1.49
132 Na 0.1741 0.6662 0.6618  5 O 2.41-2.57
133 Na 0.3264 0.6731 0.0919  2 O 2.26-2.29
134 S 0.8479 0.9775 0.7536  4 O 1.46-1.52
135 O 0.4331 0.3696 0.9236  1 S 1.48
136 O 0.9154 0.8419 0.3152  1 Si 1.62, 1 Ge 1.74
137 Na 0.6651 0.3628 0.5876  2 O 2.21-2.33
138 O 0.5131 0.2156 0.2017  1 S 1.53
139 Si 0.1338 0.2810 0.7542  4 O 1.57-1.69
140 Na 0.5100 0.6733 0.5886  3 O 2.25-2.40
141 O 0.5961 0.6979 0.7585  1 S 1.53
142 O 0.6552 0.4171 0.4721  1 S 1.47
143 O 0.7925 0.8893 0.4691  1 S 1.46
144 O 0.6273 0.7884 0.2561  1 Si 1.68, 1 Ge 1.79
145 O 0.2511 0.6712 0.5728  1 S 1.51
146 S 0.8244 0.0280 0.0803  4 O 1.45-1.54
147 O 0.7170 0.3109 0.0215  1 S 1.52
148 O 0.1704 0.8435 0.5737  1 S 1.46
149 O 0.0740 0.1594 0.8087  1 Si 1.61, 1 Ge 1.73
150 O 0.9163 0.8411 0.9079  1 Si 1.66, 1 Ge 1.81
151 Ge 0.1682 0.6520 0.5043  3 O 1.77-1.80
152 Si 0.1817 0.3200 0.0859  4 O 1.59-1.73
153 O 0.1514 0.4563 0.0689  1 Si 1.59
154 O 0.8041 0.0822 0.1358  1 S 1.45
155 Ca 0.3268 0.3263 0.6944  6 O 2.18-2.41
156 O 0.9268 0.3126 0.5308  1 S 1.49
157 Na 0.8345 0.3420 0.3316  6 O 2.39-2.58
158 S 0.0115 0.7245 0.7597  4 O 1.46-1.51
159 Na 0.0082 0.3447 0.0956  3 O 2.20-2.41
160 O 0.6549 0.8587 0.5648  1 Si 1.59
161 O 0.8662 0.5787 0.5285  1 Si 1.68, 1 Ge 1.77
162 O 0.4173 0.8020 0.5868  1 S 1.57
163 Si 0.3074 0.9387 0.4101  4 O 1.63-1.66
164 O 0.3353 0.5442 0.5300  1 S 1.45
165 O 0.4367 0.3341 0.2578  1 S 1.45
166 Na 0.8251 0.3308 0.8351  6 O 2.30-2.56
167 O 0.6397 0.4719 0.7585  1 S 1.49
168 O 0.2625 0.7992 0.7587  1 Si 1.69, 1 Ge 1.78
169 O 0.0851 0.1219 0.0980  1 Si 1.72, 1 Ge 1.84
170 O 0.0153 0.8199 0.7029  1 S 1.50
171 O 0.5745 0.6314 0.0653  1 S 1.50
172 O 0.9952 0.1778 0.9028  1 S 1.51
173 O 0.4978 0.1899 0.3120  1 S 1.47
174 O 0.9250 0.3520 0.9080  1 S 1.47
175 O 0.4073 0.9490 0.6958  1 Si 1.69, 1 Ge 1.77
176 O 0.7345 0.3406 0.7566  1 S 1.46
177 O 0.2598 0.7047 0.2481  1 S 1.46
178 O 0.9617 0.7907 0.0910  1 Si 1.68, 1 Ge 1.80
179 S 0.6835 0.3509 0.0779  4 O 1.45-1.52
180 O 0.4342 0.0140 0.0986  1 Si 1.71, 1 Ge 1.76
181 O 0.9996 0.8053 0.8134  1 S 1.48
182 O 0.9392 0.5418 0.7587  1 S 1.46
183 O 0.8317 0.1324 0.0273  1 S 1.46
184 O 0.0980 0.9920 0.3094  1 S 1.49
185 O 0.5263 0.8127 0.6976  1 S 1.47
186 O 0.7476 0.8358 0.0730  1 S 1.54
187 O 0.4144 0.8154 0.9057  1 S 1.51
188 Ca 0.1656 0.6664 0.0092  6 O 2.19-2.28
189 O 0.5520 0.6882 0.4696  1 S 1.46
190 O 0.4103 0.3113 0.5168  1 Si 1.71, 1 Ge 1.74
191 O 0.0066 0.8264 0.4117  1 Si 1.65, 1 Ge 1.84
192 O 0.7522 0.3540 0.4157  1 S 1.50
193 O 0.9317 0.8539 0.5991  1 Si 1.69, 1 Ge 1.74
194 O 0.1605 0.9035 0.9748  1 S 1.46
195 O 0.9987 0.1814 0.5815  1 S 1.51
196 O 0.1807 0.8987 0.8664  1 S 1.45
197 Ge 0.8200 0.3573 0.9748  4 O 1.76-1.94
198 S 0.4870 0.6242 0.0745  4 O 1.46-1.53
199 O 0.5667 0.6499 0.3625  1 S 1.49
200 Ge 0.9950 0.9964 0.8544  3 O 1.73-1.93
201 Si 0.8415 0.6496 0.5905  4 O 1.57-1.69
202 O 0.4335 0.5483 0.7589  1 S 1.44
203 O 0.1462 0.4491 0.4741  1 Si 1.63, 1 Ge 1.78
204 Na 0.1645 0.9687 0.0905  2 O 2.22-2.39
205 O 0.7558 0.1647 0.9285  1 Si 1.65, 1 Ge 1.82
206 Ge 0.9917 0.9609 0.1447  3 O 1.76-1.84
207 S 0.6670 0.3595 0.4137  4 O 1.46-1.52
208 O 0.5989 0.4664 0.2599  1 S 1.48
209 O 0.6686 0.5000 0.0668  1 S 1.49
210 Ge 0.0063 0.9875 0.3594  4 O 1.74-1.95
211 O 0.8211 0.1452 0.4109  1 S 1.45
212 O 0.0860 0.6957 0.4747  1 Si 1.63, 1 Ge 1.77
213 Si 0.8603 0.7322 0.2566  4 O 1.57-1.69
214 S 0.5107 0.6593 0.4107  4 O 1.46-1.52
215 O 0.0262 0.2352 0.1964  1 S 1.48
216 Na 0.3310 0.3177 0.8296  5 O 2.31-2.52
217 O 0.0830 0.1890 0.6886  1 Si 1.69, 1 Ge 1.72
218 O 0.0749 0.6858 0.0713  1 Si 1.60
219 O 0.3187 0.1231 0.1399  1 Si 1.58
220 Na 0.5087 0.0157 0.9990  6 O 2.45-2.69
221 O 0.0844 0.1659 0.4081  1 Si 1.64, 1 Ge 1.83
222 O 0.2336 0.3260 0.7601  1 Si 1.57

## Properties
Space group   P1, No. 1
ΔE_f   -2238 meV per atom

| no. | magnetic moment (μB/atom) |
| --- | --- |
| 1 | 0.0024 |
| 2 | 0.0000 |